# 1
SeBr6O2 | PBE | relaxed

The calculation puts the calculated total energy at -14.3 eV per formula unit.

```
data_SeBr6O2
_chemical_formula_sum 'Se4 Br24 O8'
_symmetry_space_group_name_H-M 'F m -3 m'
_symmetry_Int_Tables_number 225
_symmetry_space_group_name_Hall '-F 4 2 3'
_cell_length_a 9.806
_cell_length_b 9.806
_cell_length_c 9.806
_cell_angle_alpha 90.00
_cell_angle_beta 90.00
_cell_angle_gamma 90.00
loop_
_atom_site_label
_atom_site_type_symbol
_atom_site_fract_x
_atom_site_fract_y
_atom_site_fract_z
Se1 Se 0.000 0.000 0.000
Br1 Br 0.000 0.000 0.259
O1 O 0.250 0.250 0.250
```

***

# 2
SmBrO | PBE | relaxed

The calculation puts the calculated total energy at -20.0 eV per formula unit.

```
data_SmBrO
_chemical_formula_sum 'Sm2 Br2 O2'
_symmetry_space_group_name_H-M 'P 4/n m m'
_symmetry_Int_Tables_number 129
_cell_length_a 3.953
_cell_length_b 3.953
_cell_length_c 8.705
_cell_angle_alpha 90.00
_cell_angle_beta 90.00
_cell_angle_gamma 90.00
loop_
_symmetry_equiv_pos_as_xyz
'x,y,z'
'-x,-y,-z'
'-y+1/2,x,z'
'y+1/2,-x,-z'
'-x+1/2,-y+1/2,z'
'x+1/2,y+1/2,-z'
'y,-x+1/2,z'
'-y,x+1/2,-z'
'x+1/2,-y,-z'
'-x+1/2,y,z'
'-y,-x,-z'
'y,x,z'
'-x,y+1/2,-z'
'x,-y+1/2,z'
'y+1/2,x+1/2,-z'
'-y+1/2,-x+1/2,z'
loop_
_atom_site_label
_atom_site_type_symbol
_atom_site_fract_x
_atom_site_fract_y
_atom_site_fract_z
Sm1 Sm 0.250 0.250 0.136
Br1 Br 0.250 0.250 0.674
O1 O 0.250 0.750 0.000
```

***

# 3
SmTa6Br13O3 | PBE | relaxed

The calculation puts the calculated total energy at -144.8 eV per formula unit.

```
data_SmTa6Br13O3
_chemical_formula_sum 'Sm8 Ta48 Br104 O24'
_symmetry_space_group_name_H-M 'I 41 2 2'
_symmetry_Int_Tables_number 98
_symmetry_space_group_name_Hall 'I 4bw 2bw'
_cell_length_a 9.703
_cell_length_b 9.703
_cell_length_c 56.443
_cell_angle_alpha 90.00
_cell_angle_beta 90.00
_cell_angle_gamma 90.00
loop_
_atom_site_label
_atom_site_type_symbol
_atom_site_fract_x
_atom_site_fract_y
_atom_site_fract_z
Sm1 Sm 0.000 0.000 0.096
Ta1 Ta 0.078 0.133 0.786
Ta2 Ta 0.089 0.117 0.839
Ta3 Ta 0.111 0.683 0.063
Br1 Br 0.000 0.000 0.252
Br2 Br 0.022 0.182 0.030
Br3 Br 0.064 0.743 0.320
Br4 Br 0.117 0.708 0.847
Br5 Br 0.132 0.699 0.782
Br6 Br 0.175 0.175 0.500
Br7 Br 0.183 0.193 0.563
Br8 Br 0.249 0.250 0.625
O1 O 0.000 0.000 0.136
O2 O 0.011 0.234 0.088
```

***

# 4
Sr4Br6O | PBE | relaxed

As for the excess energy over the best structure of this formula in the dataset: 0.0 kJ/mol of atoms. The maximum piezoelectric response comes out at 0.19 C/m². The calculation puts the calculated total energy at -46.8 eV per formula unit.

```
data_Sr4Br6O
_chemical_formula_sum 'Sr8 Br12 O2'
_symmetry_space_group_name_H-M 'P 63 m c'
_symmetry_Int_Tables_number 186
_symmetry_space_group_name_Hall 'P 6c -2c'
_cell_length_a 9.9966
_cell_length_b 9.9966
_cell_length_c 7.6716
_cell_angle_alpha 90.00
_cell_angle_beta 90.00
_cell_angle_gamma 120.00
loop_
_atom_site_label
_atom_site_type_symbol
_atom_site_fract_x
_atom_site_fract_y
_atom_site_fract_z
Sr1 Sr 0.2011 0.4022 0.0000
Sr2 Sr 0.3333 0.6667 0.5877
Br1 Br 0.0695 0.5348 0.2961
Br2 Br 0.1392 0.2783 0.6173
O1 O 0.3333 0.6667 0.8999
```

***

# 5
SrBr2O7 | PBE | relaxed

The calculation puts the calculated total energy at -43.1 eV per formula unit.

```
data_SrBr2O7
_chemical_formula_sum 'Sr4 Br8 O28'
_symmetry_space_group_name_H-M 'C 1 2/c 1'
_symmetry_Int_Tables_number 15
_symmetry_space_group_name_Hall '-C 2yc'
_cell_length_a 12.390
_cell_length_b 7.861
_cell_length_c 8.665
_cell_angle_alpha 90.00
_cell_angle_beta 130.25
_cell_angle_gamma 90.00
loop_
_atom_site_label
_atom_site_type_symbol
_atom_site_fract_x
_atom_site_fract_y
_atom_site_fract_z
Sr1 Sr 0.000 0.159 0.250
Br1 Br 0.193 0.480 0.700
O1 O 0.000 0.180 0.750
O2 O 0.096 0.339 0.107
O3 O 0.138 0.046 0.625
O4 O 0.193 0.409 0.516
```

***

# 6
Sr4Br6O | PBE | relaxed

As for the excess energy over the best structure of this formula in the dataset: 8.2 kJ/mol of atoms. The calculation puts the calculated total energy at -45.9 eV per formula unit.

```
data_Sr4Br6O
_chemical_formula_sum 'Sr8 Br12 O2'
_symmetry_space_group_name_H-M 'P 42/n m c'
_symmetry_Int_Tables_number 137
_cell_length_a 9.746
_cell_length_b 9.746
_cell_length_c 7.358
_cell_angle_alpha 90.00
_cell_angle_beta 90.00
_cell_angle_gamma 90.00
loop_
_symmetry_equiv_pos_as_xyz
'x,y,z'
'-x,-y,-z'
'-y+1/2,x,z+1/2'
'y+1/2,-x,-z+1/2'
'-x+1/2,-y+1/2,z'
'x+1/2,y+1/2,-z'
'y,-x+1/2,z+1/2'
'-y,x+1/2,-z+1/2'
'x+1/2,-y,-z'
'-x+1/2,y,z'
'-y,-x,-z+1/2'
'y,x,z+1/2'
'-x,y+1/2,-z'
'x,-y+1/2,z'
'y+1/2,x+1/2,-z+1/2'
'-y+1/2,-x+1/2,z+1/2'
loop_
_atom_site_label
_atom_site_type_symbol
_atom_site_fract_x
_atom_site_fract_y
_atom_site_fract_z
Sr1 Sr 0.018 0.750 0.093
Br1 Br 0.047 0.547 0.750
Br2 Br 0.250 0.250 0.139
O1 O 0.250 0.750 0.250
```

***

# 7
SrBr2O | PBE | relaxed

The calculation puts the calculated total energy at -14.7 eV per formula unit.

```
data_SrBr2O
_chemical_formula_sum 'Sr4 Br8 O4'
_symmetry_space_group_name_H-M 'P n m a'
_symmetry_Int_Tables_number 62
_symmetry_space_group_name_Hall '-P 2ac 2n'
_cell_length_a 11.690
_cell_length_b 4.836
_cell_length_c 8.312
_cell_angle_alpha 90.00
_cell_angle_beta 90.00
_cell_angle_gamma 90.00
loop_
_atom_site_label
_atom_site_type_symbol
_atom_site_fract_x
_atom_site_fract_y
_atom_site_fract_z
Sr1 Sr 0.183 0.250 0.114
Br1 Br 0.104 0.750 0.871
Br2 Br 0.112 0.750 0.358
O1 O 0.242 0.750 0.115
```

***

# 8
Ta2Te4Br10O | PBE | relaxed

The calculation puts the calculated total energy at -71.6 eV per formula unit.

```
data_Ta2Te4Br10O
_chemical_formula_sum 'Ta2 Te4 Br10 O1'
_symmetry_space_group_name_H-M 'P -1'
_symmetry_Int_Tables_number 2
_symmetry_space_group_name_Hall '-P 1'
_cell_length_a 7.455
_cell_length_b 8.917
_cell_length_c 9.682
_cell_angle_alpha 96.46
_cell_angle_beta 91.92
_cell_angle_gamma 105.53
loop_
_atom_site_label
_atom_site_type_symbol
_atom_site_fract_x
_atom_site_fract_y
_atom_site_fract_z
Ta1 Ta 0.014 0.363 0.134
Te1 Te 0.314 0.894 0.350
Te2 Te 0.415 0.186 0.499
Br1 Br 0.038 0.166 0.323
Br2 Br 0.103 0.473 0.679
Br3 Br 0.162 0.206 0.967
Br4 Br 0.309 0.805 0.930
Br5 Br 0.351 0.532 0.222
O1 O 0.000 0.500 0.000
```

***

# 9
TcBr6O2 | PBE | relaxed

The calculation puts the calculated total energy at -23.8 eV per formula unit.

```
data_TcBr6O2
_chemical_formula_sum 'Tc4 Br24 O8'
_symmetry_space_group_name_H-M 'F m -3 m'
_symmetry_Int_Tables_number 225
_symmetry_space_group_name_Hall '-F 4 2 3'
_cell_length_a 9.951
_cell_length_b 9.951
_cell_length_c 9.951
_cell_angle_alpha 90.00
_cell_angle_beta 90.00
_cell_angle_gamma 90.00
loop_
_atom_site_label
_atom_site_type_symbol
_atom_site_fract_x
_atom_site_fract_y
_atom_site_fract_z
Tc1 Tc 0.000 0.000 0.000
Br1 Br 0.000 0.000 0.247
O1 O 0.250 0.250 0.250
```

***

# 10
Te6Br2O11 | PBE | relaxed

The calculation puts the calculated total energy at -94.5 eV per formula unit.

```
data_Te6Br2O11
_chemical_formula_sum 'Te24 Br8 O44'
_symmetry_space_group_name_H-M 'C m c m'
_symmetry_Int_Tables_number 63
_symmetry_space_group_name_Hall '-C 2c 2'
_cell_length_a 12.053
_cell_length_b 6.999
_cell_length_c 15.938
_cell_angle_alpha 90.00
_cell_angle_beta 90.00
_cell_angle_gamma 90.00
loop_
_atom_site_label
_atom_site_type_symbol
_atom_site_fract_x
_atom_site_fract_y
_atom_site_fract_z
Te1 Te 0.000 0.069 0.142
Te2 Te 0.154 0.371 0.585
Br1 Br 0.167 0.305 0.250
O1 O 0.000 0.073 0.750
O2 O 0.000 0.425 0.613
O3 O 0.120 0.082 0.596
O4 O 0.150 0.335 0.035
```

***

# 11
TiBrO | PBE | relaxed

The calculation puts the calculated total energy at -20.9 eV per formula unit.

```
data_TiBrO
_chemical_formula_sum 'Ti2 Br2 O2'
_symmetry_space_group_name_H-M 'P m m n'
_symmetry_Int_Tables_number 59
_cell_length_a 3.387
_cell_length_b 4.048
_cell_length_c 8.409
_cell_angle_alpha 90.00
_cell_angle_beta 90.00
_cell_angle_gamma 90.00
loop_
_symmetry_equiv_pos_as_xyz
'x,y,z'
'-x,-y,-z'
'-x+1/2,-y+1/2,z'
'x+1/2,y+1/2,-z'
'x+1/2,-y,-z'
'-x+1/2,y,z'
'-x,y+1/2,-z'
'x,-y+1/2,z'
loop_
_atom_site_label
_atom_site_type_symbol
_atom_site_fract_x
_atom_site_fract_y
_atom_site_fract_z
Ti1 Ti 0.250 0.250 0.078
Br1 Br 0.250 0.750 0.689
O1 O 0.250 0.750 0.065
```

***

# 12
TiBrO | PBE | relaxed

The calculation puts the calculated total energy at -19.3 eV per formula unit.

```
data_TiBrO
_chemical_formula_sum 'Ti2 Br2 O2'
_symmetry_space_group_name_H-M 'P m m a'
_symmetry_Int_Tables_number 51
_symmetry_space_group_name_Hall '-P 2a 2a'
_cell_length_a 3.589
_cell_length_b 2.759
_cell_length_c 10.010
_cell_angle_alpha 90.00
_cell_angle_beta 90.00
_cell_angle_gamma 90.00
loop_
_atom_site_label
_atom_site_type_symbol
_atom_site_fract_x
_atom_site_fract_y
_atom_site_fract_z
Ti1 Ti 0.250 0.000 0.098
Br1 Br 0.250 0.500 0.329
O1 O 0.250 0.500 0.925
```

***

Number 1: ρ 4.2 Mg/m³, energy of formation from the pure elements 0.84 eV/atom, V 943 Å³ per cell. Number 2: ρ 6.0 Mg/m³, energy of formation from the pure elements -3.13 eV/atom, V 136 Å³ per cell. Number 3: ρ 5.8 Mg/m³, energy of formation from the pure elements -1.52 eV/atom, V 5314 Å³ per cell. Number 4: ρ 4.2 Mg/m³, energy of formation from the pure elements -2.36 eV/atom, V 664 Å³ per cell. Number 5: ρ 3.7 Mg/m³, energy of formation from the pure elements -0.83 eV/atom, V 644 Å³ per cell. Number 6: ρ 4.0 Mg/m³, energy of formation from the pure elements -2.27 eV/atom, V 699 Å³ per cell. Number 7: ρ 3.7 Mg/m³, energy of formation from the pure elements -1.38 eV/atom, V 470 Å³ per cell. Number 8: ρ 4.6 Mg/m³, energy of formation from the pure elements -0.87 eV/atom, V 615 Å³ per cell. Number 9: ρ 4.1 Mg/m³, energy of formation from the pure elements 0.54 eV/atom, V 985 Å³ per cell. Number 10: ρ 5.4 Mg/m³, energy of formation from the pure elements -1.34 eV/atom, V 1344 Å³ per cell. Number 11: ρ 4.1 Mg/m³, energy of formation from the pure elements -2.36 eV/atom, V 115 Å³ per cell. Number 12: ρ 4.8 Mg/m³, energy of formation from the pure elements -1.85 eV/atom, V 99 Å³ per cell.